Material: Re2O7
Method: DFT, PBE-GGA
State: relaxed

Summary:
M_tot = 0.001 μB per cell
energy above the lowest structure with this stoichiometry = 0.121 eV per atom
energy of formation = -184 kJ per mole of atoms
space-group type = Cmcm, No. 63

Cell and atoms, written as extended XYZ:
```
18
Lattice="2.4197 9.0106 -2.0412 -6.8264 -6.6644 0.4450 -1.0774 1.4440 5.0969" Properties=species:S:1:pos:R:3 pbc="T T T"
O 1.3418 7.1833 -1.7514
O -1.3351 4.9696 -0.2567
O -2.9637 -0.1159 -0.5937
O -0.5209 4.9713 2.7818
O -1.9817 3.1841 1.5459
O -3.5024 0.6061 1.9548
O -3.8710 2.2786 -0.0304
O -1.6132 1.5116 3.5310
O -4.9633 -1.1811 0.7189
O 0.8031 7.9052 0.7970
O -1.4430 2.4621 -1.0026
O -6.2873 -4.1151 2.7036
O -5.7486 -4.8370 0.1552
O -4.1490 -1.1795 3.7574
Re -2.9031 0.0332 3.6772
Re -0.9593 3.3287 3.1545
Re -4.5249 0.4615 0.3462
Re -2.5810 3.7569 -0.1765
```